DFT (GGA-PBE) results for an optimized crystal structure of Ta9Pb12O20F29.

Summary:
Total energy after the MP2020 corrections ... -0.271 Ha/atom
Formation energy ... -3017 meV per atom

```
data_Ta9Pb12O20F29
_cell_length_a 16.6396
_cell_length_b 16.6396
_cell_length_c 16.6396
_cell_angle_alpha 90.80
_cell_angle_beta 90.80
_cell_angle_gamma 166.44
_symmetry_space_group_name_H-M 'P 1'
_symmetry_Int_Tables_number 1
loop_
_symmetry_equiv_pos_as_xyz
'x,y,z'
loop_
_atom_site_label
_atom_site_type_symbol
_atom_site_fract_x
_atom_site_fract_y
_atom_site_fract_z
Ta1 Ta 0.0000 0.0000 0.0000
Ta2 Ta 0.0282 0.2318 0.2599
Ta3 Ta 0.1009 0.8698 0.9707
Ta4 Ta 0.1302 0.1009 0.2311
Ta5 Ta 0.2318 0.9718 0.2036
Ta6 Ta 0.7682 0.0282 0.7964
Ta7 Ta 0.8698 0.8991 0.7689
Ta8 Ta 0.8991 0.1302 0.0293
Ta9 Ta 0.9718 0.7682 0.7401
Pb1 Pb 0.1015 0.5475 0.6491
Pb2 Pb 0.2106 0.3981 0.6087
Pb3 Pb 0.2540 0.6723 0.9263
Pb4 Pb 0.3277 0.2540 0.5817
Pb5 Pb 0.3981 0.7894 0.1875
Pb6 Pb 0.4525 0.1015 0.5540
Pb7 Pb 0.5475 0.8985 0.4460
Pb8 Pb 0.6019 0.2106 0.8125
Pb9 Pb 0.6723 0.7460 0.4183
Pb10 Pb 0.7460 0.3277 0.0737
Pb11 Pb 0.7894 0.6019 0.3913
Pb12 Pb 0.8985 0.4525 0.3509
O1 O 0.0434 0.8071 0.8504
O2 O 0.0474 0.9317 0.9791
O3 O 0.0683 0.0474 0.1157
O4 O 0.0798 0.1700 0.2498
O5 O 0.1700 0.9202 0.0902
O6 O 0.1929 0.0434 0.2363
O7 O 0.2560 0.5299 0.7859
O8 O 0.3637 0.3934 0.7571
O9 O 0.3934 0.6363 0.0297
O10 O 0.4701 0.2560 0.7261
O11 O 0.5299 0.7440 0.2739
O12 O 0.6066 0.3637 0.9703
O13 O 0.6363 0.6066 0.2429
O14 O 0.7440 0.4701 0.2141
O15 O 0.8071 0.9566 0.7637
O16 O 0.8300 0.0798 0.9098
O17 O 0.9202 0.8300 0.7502
O18 O 0.9317 0.9526 0.8843
O19 O 0.9526 0.0683 0.0209
O20 O 0.9566 0.1929 0.1496
F1 F 0.0040 0.5662 0.5702
F2 F 0.0202 0.6924 0.7126
F3 F 0.0990 0.2864 0.3855
F4 F 0.1141 0.4223 0.5364
F5 F 0.1477 0.6707 0.8184
F6 F 0.1627 0.8041 0.9668
F7 F 0.1959 0.1627 0.3586
F8 F 0.2241 0.2851 0.5092
F9 F 0.2851 0.7759 0.0609
F10 F 0.2864 0.9010 0.1874
F11 F 0.3076 0.0202 0.3278
F12 F 0.3293 0.1477 0.4770
F13 F 0.4223 0.8859 0.3082
F14 F 0.4338 0.0040 0.4378
F15 F 0.5000 0.5000 0.0000
F16 F 0.5662 0.9960 0.5622
F17 F 0.5777 0.1141 0.6918
F18 F 0.6707 0.8523 0.5230
F19 F 0.6924 0.9798 0.6722
F20 F 0.7136 0.0990 0.8126
F21 F 0.7149 0.2241 0.9391
F22 F 0.7759 0.7149 0.4908
F23 F 0.8041 0.8373 0.6414
F24 F 0.8373 0.1959 0.0332
F25 F 0.8523 0.3293 0.1816
F26 F 0.8859 0.5777 0.4636
F27 F 0.9010 0.7136 0.6145
F28 F 0.9798 0.3076 0.2874
F29 F 0.9960 0.4338 0.4298
```



DFT (GGA-PBE) results for an optimized crystal structure of NiAsPd.

Summary:
Formation energy ... -316 meV per atom

```
data_NiAsPd
_cell_length_a 6.2470
_cell_length_b 6.2470
_cell_length_c 3.7508
_cell_angle_alpha 90.00
_cell_angle_beta 90.00
_cell_angle_gamma 120.00
_symmetry_space_group_name_H-M 'P 1'
_symmetry_Int_Tables_number 1
loop_
_symmetry_equiv_pos_as_xyz
'x,y,z'
loop_
_atom_site_label
_atom_site_type_symbol
_atom_site_fract_x
_atom_site_fract_y
_atom_site_fract_z
Ni1 Ni 0.0000 0.7455 0.0000
Ni2 Ni 0.2545 0.2545 0.0000
Ni3 Ni 0.7455 0.0000 0.0000
As1 As 0.0000 0.0000 0.5000
As2 As 0.3333 0.6667 0.0000
As3 As 0.6667 0.3333 0.0000
Pd1 Pd 0.0000 0.4047 0.5000
Pd2 Pd 0.4047 0.0000 0.5000
Pd3 Pd 0.5953 0.5953 0.5000
```



DFT (GGA-PBE) results for an optimized crystal structure of BaO.

Summary:
Total energy after the MP2020 corrections ... -0.222 Ha/atom
Formation energy ... -2619 meV per atom

```
data_BaO
_cell_length_a 13.1523
_cell_length_b 13.6387
_cell_length_c 14.3707
_cell_angle_alpha 88.61
_cell_angle_beta 86.10
_cell_angle_gamma 87.47
_symmetry_space_group_name_H-M 'P 1'
_symmetry_Int_Tables_number 1
loop_
_symmetry_equiv_pos_as_xyz
'x,y,z'
loop_
_atom_site_label
_atom_site_type_symbol
_atom_site_fract_x
_atom_site_fract_y
_atom_site_fract_z
Ba1 Ba 0.0000 0.0000 0.0000
Ba2 Ba 0.0026 0.1259 0.5113
Ba3 Ba 0.0077 0.7132 0.5956
Ba4 Ba 0.0436 0.3936 0.6070
Ba5 Ba 0.1036 0.4985 0.1522
Ba6 Ba 0.1107 0.4671 0.8786
Ba7 Ba 0.1241 0.9208 0.3610
Ba8 Ba 0.1371 0.7250 0.8099
Ba9 Ba 0.1504 0.1740 0.1136
Ba10 Ba 0.1545 0.2107 0.8123
Ba11 Ba 0.2100 0.8327 0.1219
Ba12 Ba 0.2473 0.6406 0.3731
Ba13 Ba 0.2477 0.2037 0.5569
Ba14 Ba 0.2486 0.9580 0.6210
Ba15 Ba 0.2808 0.5239 0.6721
Ba16 Ba 0.2828 0.9250 0.8777
Ba17 Ba 0.2917 0.3435 0.3053
Ba18 Ba 0.3367 0.3533 0.0212
Ba19 Ba 0.3903 0.0543 0.3597
Ba20 Ba 0.4134 0.6505 0.9122
Ba21 Ba 0.4280 0.0612 0.0392
Ba22 Ba 0.4394 0.7427 0.6092
Ba23 Ba 0.4642 0.5366 0.1685
Ba24 Ba 0.4716 0.8309 0.2554
Ba25 Ba 0.4940 0.2882 0.5759
Ba26 Ba 0.5029 0.5274 0.4327
Ba27 Ba 0.5327 0.2376 0.1726
Ba28 Ba 0.5497 0.3139 0.8370
Ba29 Ba 0.5583 0.0146 0.7476
Ba30 Ba 0.5810 0.8251 0.0246
Ba31 Ba 0.6572 0.7409 0.4279
Ba32 Ba 0.6692 0.5105 0.9611
Ba33 Ba 0.6707 0.0021 0.2824
Ba34 Ba 0.6779 0.3845 0.2964
Ba35 Ba 0.6789 0.7066 0.7162
Ba36 Ba 0.7170 0.1077 0.9934
Ba37 Ba 0.7402 0.1863 0.5051
Ba38 Ba 0.7469 0.6340 0.2040
Ba39 Ba 0.7511 0.4821 0.5383
Ba40 Ba 0.7792 0.9174 0.5549
Ba41 Ba 0.7954 0.8722 0.8573
Ba42 Ba 0.8239 0.2115 0.7391
Ba43 Ba 0.8737 0.4809 0.7835
Ba44 Ba 0.8898 0.1598 0.2383
Ba45 Ba 0.8967 0.8470 0.2476
Ba46 Ba 0.9344 0.3255 0.0243
Ba47 Ba 0.9531 0.6312 0.3795
Ba48 Ba 0.9614 0.6779 0.0112
Ba49 Ba 0.9830 0.9734 0.7329
Ba50 Ba 0.9948 0.3731 0.3719
O1 O 0.9995 0.3185 0.1987
O2 O 0.0528 0.9445 0.1728
O3 O 0.0920 0.5748 0.7205
O4 O 0.0950 0.7469 0.4209
O5 O 0.1184 0.0946 0.6760
O6 O 0.1187 0.8410 0.6737
O7 O 0.1203 0.5036 0.3283
O8 O 0.1255 0.2864 0.4563
O9 O 0.1407 0.3176 0.9901
O10 O 0.1422 0.6182 0.9791
O11 O 0.1886 0.0604 0.9664
O12 O 0.2205 0.0330 0.4605
O13 O 0.2513 0.3363 0.6980
O14 O 0.2832 0.8700 0.2671
O15 O 0.2908 0.4577 0.1556
O16 O 0.3279 0.2125 0.1588
O17 O 0.3413 0.6838 0.7587
O18 O 0.3416 0.5951 0.5193
O19 O 0.3705 0.0061 0.7511
O20 O 0.3830 0.8422 0.0157
O21 O 0.4100 0.2033 0.4524
O22 O 0.4693 0.6540 0.3046
O23 O 0.4740 0.4727 0.9384
O24 O 0.4784 0.4036 0.2878
O25 O 0.5225 0.0417 0.1819
O26 O 0.5364 0.2135 0.9888
O27 O 0.5435 0.9129 0.3899
O28 O 0.5981 0.6276 0.5742
O29 O 0.6005 0.8548 0.6526
O30 O 0.6119 0.1942 0.6814
O31 O 0.6136 0.9688 0.9276
O32 O 0.6206 0.6915 0.9038
O33 O 0.6358 0.3568 0.4771
O34 O 0.6595 0.4923 0.1363
O35 O 0.7021 0.2002 0.2507
O36 O 0.7092 0.8289 0.1895
O37 O 0.7223 0.3783 0.8281
O38 O 0.7396 0.5593 0.3690
O39 O 0.8341 0.7939 0.4172
O40 O 0.8452 0.0501 0.8632
O41 O 0.8460 0.8054 0.6899
O42 O 0.8575 0.0625 0.6246
O43 O 0.8640 0.0688 0.3989
O44 O 0.8841 0.2916 0.5531
O45 O 0.8934 0.1475 0.0622
O46 O 0.9146 0.5109 0.9458
O47 O 0.9351 0.5363 0.5432
O48 O 0.9426 0.6689 0.1913
O49 O 0.9799 0.8372 0.9082
O50 O 0.9870 0.3315 0.7883
```



DFT (GGA-PBE) results for an optimized crystal structure of Zn3Ag2Ge3O12.

Summary:
Total energy after the MP2020 corrections ... -0.203 Ha/atom
Formation energy ... -1392 meV per atom

```
data_Zn3Ag2Ge3O12
_cell_length_a 10.6876
_cell_length_b 10.6876
_cell_length_c 10.6876
_cell_angle_alpha 109.47
_cell_angle_beta 109.47
_cell_angle_gamma 109.47
_symmetry_space_group_name_H-M 'P 1'
_symmetry_Int_Tables_number 1
loop_
_symmetry_equiv_pos_as_xyz
'x,y,z'
loop_
_atom_site_label
_atom_site_type_symbol
_atom_site_fract_x
_atom_site_fract_y
_atom_site_fract_z
Zn1 Zn 0.1250 0.2500 0.3750
Zn2 Zn 0.1250 0.3750 0.7500
Zn3 Zn 0.2500 0.3750 0.1250
Zn4 Zn 0.2500 0.8750 0.6250
Zn5 Zn 0.3750 0.1250 0.2500
Zn6 Zn 0.3750 0.7500 0.1250
Zn7 Zn 0.6250 0.2500 0.8750
Zn8 Zn 0.6250 0.8750 0.7500
Zn9 Zn 0.7500 0.1250 0.3750
Zn10 Zn 0.7500 0.6250 0.8750
Zn11 Zn 0.8750 0.6250 0.2500
Zn12 Zn 0.8750 0.7500 0.6250
Ag1 Ag 0.0000 0.0000 0.0000
Ag2 Ag 0.0000 0.0000 0.5000
Ag3 Ag 0.0000 0.5000 0.0000
Ag4 Ag 0.0000 0.5000 0.5000
Ag5 Ag 0.5000 0.0000 0.0000
Ag6 Ag 0.5000 0.0000 0.5000
Ag7 Ag 0.5000 0.5000 0.0000
Ag8 Ag 0.5000 0.5000 0.5000
Ge1 Ge 0.1250 0.7500 0.8750
Ge2 Ge 0.1250 0.8750 0.2500
Ge3 Ge 0.2500 0.1250 0.8750
Ge4 Ge 0.2500 0.6250 0.3750
Ge5 Ge 0.3750 0.2500 0.6250
Ge6 Ge 0.3750 0.6250 0.7500
Ge7 Ge 0.6250 0.3750 0.2500
Ge8 Ge 0.6250 0.7500 0.3750
Ge9 Ge 0.7500 0.3750 0.6250
Ge10 Ge 0.7500 0.8750 0.1250
Ge11 Ge 0.8750 0.1250 0.7500
Ge12 Ge 0.8750 0.2500 0.1250
O1 O 0.0357 0.2256 0.1350
O2 O 0.0357 0.3101 0.9008
O3 O 0.0906 0.7256 0.6899
O4 O 0.0906 0.8650 0.4008
O5 O 0.0992 0.6350 0.4094
O6 O 0.0992 0.9643 0.6899
O7 O 0.1350 0.0357 0.2256
O8 O 0.1350 0.5992 0.9094
O9 O 0.1899 0.2256 0.5906
O10 O 0.1899 0.4643 0.5992
O11 O 0.2256 0.1350 0.0357
O12 O 0.2256 0.5906 0.1899
O13 O 0.2744 0.3101 0.9094
O14 O 0.2744 0.4643 0.3650
O15 O 0.3101 0.9008 0.0357
O16 O 0.3101 0.9094 0.2744
O17 O 0.3650 0.2744 0.4643
O18 O 0.3650 0.5906 0.9008
O19 O 0.4008 0.0906 0.8650
O20 O 0.4008 0.8101 0.5357
O21 O 0.4094 0.0992 0.6350
O22 O 0.4094 0.8101 0.7744
O23 O 0.4643 0.3650 0.2744
O24 O 0.4643 0.5992 0.1899
O25 O 0.5357 0.4008 0.8101
O26 O 0.5357 0.6350 0.7256
O27 O 0.5906 0.1899 0.2256
O28 O 0.5906 0.9008 0.3650
O29 O 0.5992 0.1899 0.4643
O30 O 0.5992 0.9094 0.1350
O31 O 0.6350 0.4094 0.0992
O32 O 0.6350 0.7256 0.5357
O33 O 0.6899 0.0906 0.7256
O34 O 0.6899 0.0992 0.9643
O35 O 0.7256 0.5357 0.6350
O36 O 0.7256 0.6899 0.0906
O37 O 0.7744 0.4094 0.8101
O38 O 0.7744 0.8650 0.9643
O39 O 0.8101 0.5357 0.4008
O40 O 0.8101 0.7744 0.4094
O41 O 0.8650 0.4008 0.0906
O42 O 0.8650 0.9643 0.7744
O43 O 0.9008 0.0357 0.3101
O44 O 0.9008 0.3650 0.5906
O45 O 0.9094 0.1350 0.5992
O46 O 0.9094 0.2744 0.3101
O47 O 0.9643 0.6899 0.0992
O48 O 0.9643 0.7744 0.8650
```



DFT (GGA-PBE) results for an optimized crystal structure of K6Pd3Br4Cl8.

Summary:
Total energy after the MP2020 corrections ... -0.133 Ha/atom
Formation energy ... -1543 meV per atom

```
data_K6Pd3Br4Cl8
_cell_length_a 4.2735
_cell_length_b 16.4857
_cell_length_c 16.4857
_cell_angle_alpha 143.95
_cell_angle_beta 90.00
_cell_angle_gamma 90.00
_symmetry_space_group_name_H-M 'P 1'
_symmetry_Int_Tables_number 1
loop_
_symmetry_equiv_pos_as_xyz
'x,y,z'
loop_
_atom_site_label
_atom_site_type_symbol
_atom_site_fract_x
_atom_site_fract_y
_atom_site_fract_z
K1 K 0.0000 0.0831 0.9165
K2 K 0.0000 0.2532 0.7468
K3 K 0.0000 0.4135 0.5858
K4 K 0.0000 0.5858 0.4135
K5 K 0.0000 0.7468 0.2532
K6 K 0.0000 0.9165 0.0831
Pd1 Pd 0.5000 0.0849 0.4188
Pd2 Pd 0.5000 0.4188 0.0849
Pd3 Pd 0.5000 0.7490 0.7490
Br1 Br 0.5000 0.1768 0.8425
Br2 Br 0.5000 0.5065 0.5065
Br3 Br 0.5000 0.8425 0.1768
Br4 Br 0.5000 0.9924 0.9924
Cl1 Cl 0.5000 0.0099 0.4929
Cl2 Cl 0.5000 0.1592 0.3442
Cl3 Cl 0.5000 0.3157 0.6494
Cl4 Cl 0.5000 0.3442 0.1592
Cl5 Cl 0.5000 0.4929 0.0099
Cl6 Cl 0.5000 0.6494 0.3157
Cl7 Cl 0.5000 0.6743 0.8235
Cl8 Cl 0.5000 0.8235 0.6743
```



DFT (GGA-PBE) results for an optimized crystal structure of GdPHC2O6.

Summary:
Total energy after the MP2020 corrections ... -0.303 Ha/atom
Formation energy ... -1790 meV per atom

```
data_GdPHC2O6
_cell_length_a 9.4846
_cell_length_b 9.4846
_cell_length_c 8.2001
_cell_angle_alpha 102.38
_cell_angle_beta 102.38
_cell_angle_gamma 65.00
_symmetry_space_group_name_H-M 'P 1'
_symmetry_Int_Tables_number 1
loop_
_symmetry_equiv_pos_as_xyz
'x,y,z'
loop_
_atom_site_label
_atom_site_type_symbol
_atom_site_fract_x
_atom_site_fract_y
_atom_site_fract_z
Gd1 Gd 0.0112 0.4026 0.2418
Gd2 Gd 0.4026 0.0112 0.2418
Gd3 Gd 0.5974 0.9888 0.7582
Gd4 Gd 0.9888 0.5974 0.7582
P1 P 0.1995 0.1995 0.5287
P2 P 0.3146 0.3146 0.0244
P3 P 0.6854 0.6854 0.9756
P4 P 0.8005 0.8005 0.4713
H1 H 0.1470 0.1470 0.6429
H2 H 0.4052 0.4052 0.0872
H3 H 0.5948 0.5948 0.9128
H4 H 0.8530 0.8530 0.3571
C1 C 0.2154 0.6642 0.4077
C2 C 0.2437 0.6904 0.5967
C3 C 0.3096 0.7563 0.4033
C4 C 0.3358 0.7846 0.5923
C5 C 0.6642 0.2154 0.4077
C6 C 0.6904 0.2437 0.5967
C7 C 0.7563 0.3096 0.4033
C8 C 0.7846 0.3358 0.5923
O1 O 0.0071 0.7908 0.9920
O2 O 0.1254 0.3803 0.5494
O3 O 0.1420 0.1420 0.3454
O4 O 0.1438 0.5966 0.3016
O5 O 0.1615 0.4162 0.9259
O6 O 0.2066 0.6499 0.7088
O7 O 0.2092 0.9929 0.0080
O8 O 0.2751 0.2751 0.1802
O9 O 0.3501 0.7934 0.2912
O10 O 0.3803 0.1254 0.5494
O11 O 0.4034 0.8562 0.6984
O12 O 0.4162 0.1615 0.9259
O13 O 0.5838 0.8385 0.0741
O14 O 0.5966 0.1438 0.3016
O15 O 0.6197 0.8746 0.4506
O16 O 0.6499 0.2066 0.7088
O17 O 0.7249 0.7249 0.8198
O18 O 0.7908 0.0071 0.9920
O19 O 0.7934 0.3501 0.2912
O20 O 0.8385 0.5838 0.0741
O21 O 0.8562 0.4034 0.6984
O22 O 0.8580 0.8580 0.6546
O23 O 0.8746 0.6197 0.4506
O24 O 0.9929 0.2092 0.0080
```



What is the formation energy in the fifth record?
-1543 meV per atom



What is the formation energy in the sixth record?
-1790 meV per atom



The highest formation energy belongs to which entry?
NiAsPd